VASP calculation (GGA-PBE) on a geometry-optimized K2AgAs structure.

Lattice parameters (Å, degrees): 6.446 6.446 6.134 90.00 90.00 76.41
Fractional positions:
K1 0.029 0.316 0.250
K2 0.316 0.029 0.750
K3 0.684 0.971 0.250
K4 0.971 0.684 0.750
Ag1 0.500 0.500 0.000
Ag2 0.500 0.500 0.500
As1 0.241 0.759 0.250
As2 0.759 0.241 0.750


VASP calculation (GGA-PBE) on a geometry-optimized Tb3Ge3Ir2 structure.

Lattice parameters (Å, degrees): 5.699 5.699 14.332 90.00 90.00 135.46
Fractional positions:
Tb1 0.083 0.917 0.611
Tb2 0.083 0.917 0.889
Tb3 0.360 0.640 0.750
Tb4 0.640 0.360 0.250
Tb5 0.917 0.083 0.111
Tb6 0.917 0.083 0.389
Ge1 0.342 0.658 0.250
Ge2 0.377 0.623 0.535
Ge3 0.377 0.623 0.965
Ge4 0.623 0.377 0.035
Ge5 0.623 0.377 0.465
Ge6 0.658 0.342 0.750
Ir1 0.201 0.799 0.102
Ir2 0.201 0.799 0.398
Ir3 0.799 0.201 0.602
Ir4 0.799 0.201 0.898


VASP calculation (GGA-PBE) on a geometry-optimized Na3MgGaP2SO12 structure.

Lattice parameters (Å, degrees): 8.897 8.809 21.842 91.10 90.00 120.33
Fractional positions:
Na1 0.360 0.358 0.247
Na2 0.997 0.632 0.246
Na3 0.634 0.632 0.746
Na4 0.998 0.358 0.747
Na5 0.026 0.691 0.581
Na6 0.664 0.965 0.579
Na7 0.301 0.965 0.079
Na8 0.665 0.691 0.081
Na9 0.693 0.025 0.914
Na10 0.331 0.298 0.912
Na11 0.968 0.298 0.412
Na12 0.332 0.025 0.414
Na13 0.983 0.986 0.497
Na14 0.004 0.986 0.997
Na15 0.649 0.320 0.831
Na16 0.670 0.320 0.331
Na17 0.316 0.653 0.164
Na18 0.337 0.653 0.664
Mg1 0.994 0.997 0.352
Mg2 0.003 0.997 0.852
Mg3 0.660 0.330 0.685
Mg4 0.670 0.330 0.185
Mg5 0.327 0.664 0.018
Mg6 0.337 0.664 0.518
Ga1 0.992 0.011 0.651
Ga2 0.020 0.011 0.151
Ga3 0.658 0.345 0.984
Ga4 0.686 0.345 0.484
Ga5 0.325 0.678 0.318
Ga6 0.353 0.678 0.818
P1 0.297 0.998 0.252
P2 0.004 0.296 0.253
P3 0.292 0.296 0.753
P4 0.701 0.998 0.752
P5 0.964 0.332 0.585
P6 0.671 0.630 0.587
P7 0.959 0.630 0.087
P8 0.368 0.332 0.085
P9 0.630 0.665 0.918
P10 0.338 0.963 0.920
P11 0.625 0.963 0.420
P12 0.035 0.665 0.418
S1 0.702 0.710 0.249
S2 0.008 0.710 0.749
S3 0.368 0.043 0.582
S4 0.675 0.043 0.082
S5 0.035 0.377 0.915
S6 0.341 0.377 0.415
O1 0.211 0.024 0.308
O2 0.815 0.797 0.302
O3 0.984 0.195 0.311
O4 0.212 0.195 0.811
O5 0.982 0.797 0.802
O6 0.814 0.024 0.808
O7 0.779 0.957 0.693
O8 0.169 0.208 0.696
O9 0.031 0.810 0.691
O10 0.779 0.810 0.191
O11 0.038 0.208 0.196
O12 0.178 0.957 0.193
O13 0.877 0.358 0.642
O14 0.482 0.131 0.635
O15 0.650 0.529 0.645
O16 0.878 0.529 0.145
O17 0.649 0.131 0.135
O18 0.480 0.358 0.142
O19 0.446 0.291 0.026
O20 0.836 0.541 0.030
O21 0.698 0.143 0.025
O22 0.446 0.143 0.525
O23 0.705 0.541 0.530
O24 0.845 0.291 0.526
O25 0.544 0.691 0.975
O26 0.148 0.464 0.968
O27 0.317 0.862 0.978
O28 0.545 0.862 0.478
O29 0.315 0.464 0.468
O30 0.147 0.691 0.475
O31 0.112 0.624 0.360
O32 0.503 0.874 0.363
O33 0.364 0.476 0.358
O34 0.112 0.476 0.858
O35 0.371 0.874 0.863
O36 0.512 0.624 0.860
O37 0.021 0.830 0.411
O38 0.810 0.996 0.413
O39 0.182 0.197 0.411
O40 0.015 0.197 0.911
O41 0.186 0.996 0.913
O42 0.809 0.830 0.911
O43 0.975 0.160 0.589
O44 0.191 0.019 0.588
O45 0.846 0.817 0.590
O46 0.971 0.817 0.090
O47 0.827 0.019 0.088
O48 0.185 0.160 0.089
O49 0.688 0.164 0.744
O50 0.477 0.329 0.746
O51 0.849 0.531 0.745
O52 0.682 0.531 0.245
O53 0.852 0.329 0.246
O54 0.475 0.164 0.244
O55 0.642 0.493 0.922
O56 0.858 0.352 0.921
O57 0.513 0.150 0.923
O58 0.637 0.150 0.423
O59 0.494 0.352 0.421
O60 0.852 0.493 0.422
O61 0.355 0.497 0.078
O62 0.144 0.663 0.079
O63 0.515 0.864 0.078
O64 0.349 0.864 0.578
O65 0.519 0.663 0.579
O66 0.142 0.497 0.578
O67 0.308 0.827 0.255
O68 0.525 0.685 0.254
O69 0.180 0.483 0.256
O70 0.304 0.483 0.756
O71 0.161 0.685 0.754
O72 0.518 0.827 0.755


no.,energy relative to the elements (eV per atom),total DFT energy (no corrections) (eV/cell)
1,-0.40,-22.62
2,-0.92,-105.59
3,-2.51,-749.24